(1)
Density functional theory data (PBE+U) for a geometry-optimized Mn12O7F17 structure.

Cell: 4.809 5.775 15.963 Å, 89.46 89.42 84.77°
Fractional coordinates of all 36 atoms:
F 0.754 0.615 0.482
F 0.731 0.384 0.983
F 0.730 0.385 0.647
F 0.789 0.885 0.639
F 0.231 0.876 0.197
F 0.787 0.884 0.975
F 0.228 0.884 0.852
F 0.242 0.110 0.685
F 0.289 0.382 0.862
F 0.302 0.380 0.522
F 0.727 0.619 0.153
F 0.743 0.607 0.815
F 0.269 0.378 0.191
F 0.231 0.884 0.517
F 0.221 0.108 0.350
F 0.770 0.882 0.306
F 0.242 0.102 0.021
Mn 0.492 0.342 0.751
Mn 0.982 0.168 0.907
Mn 0.486 0.672 0.928
Mn 0.512 0.348 0.412
Mn 0.990 0.174 0.571
Mn 0.996 0.850 0.413
Mn 0.487 0.646 0.261
Mn 0.993 0.844 0.748
Mn 0.491 0.341 0.086
Mn 0.966 0.171 0.245
Mn 0.000 0.846 0.086
Mn 0.488 0.671 0.592
O 0.773 0.110 0.462
O 0.268 0.610 0.702
O 0.271 0.609 0.038
O 0.709 0.391 0.308
O 0.774 0.116 0.135
O 0.269 0.613 0.364
O 0.766 0.109 0.797

The value obtained for the polymorph energy (0 for the lowest one) is 0.25 kcal/mol of atoms. As for the formation energy: -2.566 eV per atom. The magnetic moment is 53.0 μB per cell.

(2)
Density functional theory data (PBE+U) for a geometry-optimized LiFeO3 structure.

Cell: 6.616 6.616 5.992 Å, 76.76 76.76 25.14°
Fractional coordinates of all 10 atoms:
O 0.329 0.329 0.127
O 0.671 0.671 0.873
O 0.325 0.325 0.547
O 0.025 0.025 0.736
O 0.975 0.975 0.264
O 0.675 0.675 0.453
Fe 0.165 0.165 0.678
Fe 0.835 0.835 0.322
Li 0.500 0.500 0.500
Li 0.500 0.500 0.000

As for the formation energy: -1.392 eV per atom. The magnetic moment is 6.0 μB per cell.

(3)
Density functional theory data (PBE+U) for a geometry-optimized Mn6O5F7 structure.

Cell: 5.721 5.721 7.175 Å, 74.32 74.32 75.45°
Fractional coordinates of all 18 atoms:
Mn 0.994 0.304 0.330
Mn 0.696 0.006 0.670
Mn 0.004 0.331 0.845
Mn 0.669 0.996 0.155
Mn 0.313 0.687 0.500
Mn 0.332 0.668 0.000
O 0.433 0.780 0.199
O 0.895 0.218 0.132
O 0.782 0.105 0.868
O 0.020 0.980 0.500
O 0.220 0.567 0.801
F 0.580 0.916 0.461
F 0.084 0.420 0.539
F 0.974 0.666 0.181
F 0.363 0.309 0.169
F 0.691 0.637 0.831
F 0.334 0.026 0.819
F 0.615 0.385 0.500

The value obtained for the polymorph energy (0 for the lowest one) is 0.09 kcal/mol of atoms. As for the formation energy: -2.437 eV per atom. The magnetic moment is 25.0 μB per cell.

(4)
Density functional theory data (PBE+U) for a geometry-optimized Li2FeP2O8 structure.

Cell: 17.553 4.929 6.691 Å, 86.07 90.00 90.00°
Fractional coordinates of all 52 atoms:
O 0.568 0.617 0.830
O 0.434 0.327 0.472
O 0.191 0.727 0.722
O 0.300 0.769 0.069
O 0.199 0.138 0.989
O 0.934 0.673 0.528
O 0.339 0.185 0.860
O 0.691 0.273 0.278
O 0.678 0.288 0.661
O 0.068 0.383 0.170
O 0.061 0.833 0.971
O 0.553 0.031 0.463
O 0.839 0.815 0.140
O 0.430 0.887 0.296
O 0.930 0.113 0.704
O 0.303 0.607 0.512
O 0.699 0.862 0.011
O 0.191 0.279 0.555
O 0.053 0.969 0.537
O 0.447 0.479 0.029
O 0.304 0.239 0.216
O 0.568 0.614 0.204
O 0.943 0.112 0.318
O 0.947 0.521 0.971
O 0.443 0.888 0.682
O 0.561 0.167 0.029
O 0.804 0.761 0.784
O 0.178 0.712 0.339
O 0.803 0.393 0.488
O 0.691 0.721 0.445
O 0.068 0.386 0.796
O 0.800 0.231 0.931
P 0.215 0.584 0.532
P 0.036 0.527 0.978
P 0.464 0.031 0.476
P 0.786 0.921 0.970
P 0.536 0.473 0.022
P 0.286 0.079 0.030
P 0.964 0.969 0.524
P 0.715 0.416 0.468
Li 0.613 0.968 0.727
Li 0.884 0.474 0.272
Li 0.113 0.032 0.273
Li 0.444 0.021 0.961
Li 0.944 0.979 0.039
Li 0.198 0.559 0.074
Li 0.384 0.526 0.728
Li 0.698 0.441 0.926
Fe 0.628 0.944 0.244
Fe 0.871 0.451 0.731
Fe 0.371 0.549 0.269
Fe 0.128 0.056 0.756

The value obtained for the polymorph energy (0 for the lowest one) is 0.79 kcal/mol of atoms. As for the formation energy: -2.373 eV per atom. The magnetic moment is 24.0 μB per cell.

(5)
Density functional theory data (PBE+U) for a geometry-optimized Fe2O3 structure.

Cell: 5.388 5.388 14.810 Å, 90.00 90.00 120.00°
Fractional coordinates of all 30 atoms:
Fe 0.000 0.000 0.584
Fe 0.613 0.613 0.731
Fe 0.387 0.000 0.731
Fe 0.025 0.648 0.234
Fe 0.000 0.000 0.079
Fe 0.667 0.333 0.941
Fe 0.000 0.000 0.415
Fe 0.000 0.000 0.914
Fe 0.352 0.378 0.234
Fe 0.000 0.387 0.731
Fe 0.622 0.975 0.234
Fe 0.333 0.667 0.940
O 0.298 0.298 0.352
O 0.983 0.293 0.177
O 0.715 0.000 0.681
O 0.741 0.739 0.508
O 0.261 0.002 0.508
O 0.308 0.314 0.001
O 0.000 0.715 0.681
O 0.285 0.285 0.681
O 0.006 0.692 0.001
O 0.998 0.259 0.508
O 0.686 0.994 0.001
O 0.702 0.000 0.352
O 0.996 0.359 0.860
O 0.363 0.004 0.860
O 0.641 0.637 0.860
O 0.310 0.017 0.177
O 0.000 0.702 0.352
O 0.707 0.690 0.177

As for the formation energy: -1.204 eV per atom. The magnetic moment is 52.0 μB per cell.

(6)
Density functional theory data (PBE+U) for a geometry-optimized Li3Mn2F9 structure.

Cell: 5.484 5.660 14.150 Å, 89.16 93.88 118.61°
Fractional coordinates of all 28 atoms:
F 0.337 0.224 0.749
F 0.241 0.801 0.354
F 0.017 0.328 0.076
F 0.000 0.672 0.932
F 0.356 0.769 0.756
F 0.629 0.247 0.250
F 0.760 0.197 0.648
F 0.808 0.329 0.434
F 0.614 0.842 0.050
F 0.196 0.676 0.569
F 0.080 0.809 0.143
F 0.250 0.153 0.558
F 0.076 0.219 0.259
F 0.744 0.845 0.437
F 0.393 0.170 0.944
F 0.609 0.773 0.241
F 0.923 0.190 0.859
F 0.890 0.755 0.749
Mn 0.342 0.978 0.653
Mn 0.653 0.035 0.346
Mn 0.869 0.015 0.151
Mn 0.119 0.971 0.849
Li 0.098 0.583 0.243
Li 0.992 0.283 0.547
Li 0.229 0.710 0.045
Li 0.997 0.415 0.751
Li 0.003 0.717 0.451
Li 0.777 0.292 0.956

As for the formation energy: -2.895 eV per atom. The magnetic moment is 16.0 μB per cell.

Number 1: volume 12.26 Å³/atom. Number 2: volume 10.83 Å³/atom. Number 3: volume 11.87 Å³/atom. Number 4: volume 11.11 Å³/atom. Number 5: volume 12.41 Å³/atom. Number 6: volume 13.73 Å³/atom.